Record 1
Compound: V4O3F9
Source: the Materials Project database
Functional: r2SCAN
Structure: relaxed

Cell lengths 5.149, 5.278, 8.804 Å; angles 74.21, 89.88, 61.03 degrees
Positions (direct):
V 0.749 0.502 0.250
V 0.497 0.971 0.495
V 0.266 0.518 0.746
V 0.002 0.026 0.008
O 0.959 0.239 0.125
O 0.539 0.765 0.373
O 0.415 0.737 0.669
F 0.920 0.755 0.577
F 0.940 0.733 0.172
F 0.434 0.751 0.070
F 0.564 0.267 0.331
F 0.576 0.233 0.927
F 0.463 0.236 0.627
F 0.036 0.749 0.881
F 0.071 0.263 0.823
F 0.067 0.254 0.427

Magnetic moment, Bohr magnetons per cell: 5.00
Total DFT energy (no corrections), eV/f.u.: -151.1
Formation energy from the elements, kJ per mole of atoms: -294
Polymorph energy (0 for the lowest one), eV per formula unit: 0.035


Record 2
Compound: Nd3Co4Sn13
Source: the Materials Project database
Functional: r2SCAN
Structure: relaxed

Cell lengths 9.581, 9.581, 9.581 Å; angles 90.00, 90.00, 90.00 degrees
Positions (direct):
Nd 0.000 0.500 0.750
Nd 0.500 0.250 0.000
Nd 0.750 0.000 0.500
Nd 0.000 0.500 0.250
Nd 0.500 0.750 0.000
Nd 0.250 0.000 0.500
Co 0.750 0.250 0.750
Co 0.250 0.750 0.250
Co 0.750 0.750 0.250
Co 0.250 0.250 0.750
Co 0.250 0.750 0.750
Co 0.750 0.250 0.250
Co 0.250 0.250 0.250
Co 0.750 0.750 0.750
Sn 0.500 0.500 0.500
Sn 0.000 0.000 0.000
Sn 0.802 0.342 0.500
Sn 0.658 0.500 0.802
Sn 0.500 0.198 0.658
Sn 0.198 0.658 0.500
Sn 0.342 0.500 0.198
Sn 0.500 0.802 0.342
Sn 0.802 0.658 0.500
Sn 0.658 0.500 0.198
Sn 0.198 0.342 0.500
Sn 0.342 0.500 0.802
Sn 0.500 0.802 0.658
Sn 0.500 0.198 0.342
Sn 0.302 0.000 0.842
Sn 0.158 0.302 0.000
Sn 0.000 0.158 0.698
Sn 0.698 0.000 0.158
Sn 0.842 0.698 0.000
Sn 0.000 0.842 0.302
Sn 0.302 0.000 0.158
Sn 0.158 0.698 0.000
Sn 0.698 0.000 0.842
Sn 0.842 0.302 0.000
Sn 0.000 0.158 0.302
Sn 0.000 0.842 0.698

Magnetic moment, Bohr magnetons per cell: 0.00
Total DFT energy (no corrections), eV/f.u.: -468.7
Formation energy from the elements, kJ per mole of atoms: -28


Record 3
Compound: Tm3Ga5Ni
Source: the Materials Project database
Functional: r2SCAN
Structure: relaxed

Cell lengths 6.759, 6.759, 4.159 Å; angles 90.00, 90.00, 120.00 degrees
Positions (direct):
Tm 0.594 0.000 0.000
Tm 0.000 0.594 0.000
Tm 0.406 0.406 0.000
Ga 0.235 0.000 0.500
Ga 0.000 0.235 0.500
Ga 0.765 0.765 0.500
Ga 0.333 0.667 0.500
Ga 0.667 0.333 0.500
Ni 0.000 0.000 0.000

Magnetic moment, Bohr magnetons per cell: 0.00
Total DFT energy (no corrections), eV/f.u.: -181.3
Formation energy from the elements, kJ per mole of atoms: -72


Record 4
Compound: Li2InPd
Source: the Materials Project database
Functional: r2SCAN
Structure: relaxed

Cell lengths 4.488, 4.488, 4.488 Å; angles 60.00, 60.00, 60.00 degrees
Positions (direct):
Li 0.500 0.500 0.500
Li 0.250 0.250 0.250
In 0.750 0.750 0.750
Pd 0.000 0.000 0.000

Magnetic moment, Bohr magnetons per cell: 0.00
Total DFT energy (no corrections), eV/f.u.: -52.4
Formation energy from the elements, kJ per mole of atoms: -50